1.
{"formula": "U2O5", "functional": "PBE", "state": "relaxed", "m_tot_mub_per_fu": 2.000, "polymorph_energy_kj_per_mol_atoms": 0.0, "final_energy_ev_per_atom": -9.969, "sg": "No. 55", "rho_g_cm3": 8.24, "cell": [[6.963, 0.000, 0.000], [0.000, 30.961, 0.000], [0.000, 0.000, 4.159]], "species": ["U", "U", "U", "U", "U", "U", "U", "U", "U", "U", "U", "U", "U", "U", "U", "U", "O", "O", "O", "O", "O", "O", "O", "O", "O", "O", "O", "O", "O", "O", "O", "O", "O", "O", "O", "O", "O", "O", "O", "O", "O", "O", "O", "O", "O", "O", "O", "O", "O", "O", "O", "O", "O", "O", "O", "O"], "frac_coords": [[0.215, 0.213, 0.000], [0.217, 0.594, 0.000], [0.242, 0.975, 0.000], [0.244, 0.841, 0.000], [0.256, 0.341, 0.000], [0.258, 0.475, 0.000], [0.283, 0.094, 0.000], [0.285, 0.713, 0.000], [0.715, 0.287, 0.000], [0.717, 0.906, 0.000], [0.742, 0.525, 0.000], [0.744, 0.659, 0.000], [0.756, 0.159, 0.000], [0.758, 0.025, 0.000], [0.783, 0.406, 0.000], [0.785, 0.787, 0.000], [0.057, 0.665, 0.000], [0.066, 0.041, 0.000], [0.066, 0.536, 0.000], [0.069, 0.148, 0.000], [0.113, 0.772, 0.000], [0.200, 0.406, 0.000], [0.215, 0.214, 0.500], [0.221, 0.596, 0.500], [0.244, 0.976, 0.500], [0.246, 0.837, 0.500], [0.254, 0.337, 0.500], [0.256, 0.476, 0.500], [0.279, 0.096, 0.500], [0.285, 0.714, 0.500], [0.300, 0.906, 0.000], [0.387, 0.272, 0.000], [0.431, 0.648, 0.000], [0.434, 0.036, 0.000], [0.434, 0.541, 0.000], [0.443, 0.165, 0.000], [0.557, 0.835, 0.000], [0.566, 0.459, 0.000], [0.566, 0.964, 0.000], [0.569, 0.352, 0.000], [0.613, 0.728, 0.000], [0.700, 0.094, 0.000], [0.715, 0.286, 0.500], [0.721, 0.904, 0.500], [0.744, 0.524, 0.500], [0.746, 0.663, 0.500], [0.754, 0.163, 0.500], [0.756, 0.024, 0.500], [0.779, 0.404, 0.500], [0.785, 0.786, 0.500], [0.800, 0.594, 0.000], [0.887, 0.228, 0.000], [0.931, 0.852, 0.000], [0.934, 0.464, 0.000], [0.934, 0.959, 0.000], [0.943, 0.335, 0.000]]}

***

2.
{"formula": "MgSn3", "functional": "PBE", "state": "relaxed", "final_energy_ev_per_atom": -3.443, "sg": "No. 221", "rho_g_cm3": 5.99, "cell": [[4.723, 0.000, 0.000], [0.000, 4.723, 0.000], [0.000, 0.000, 4.723]], "species": ["Mg", "Sn", "Sn", "Sn"], "frac_coords": [[0.000, 0.000, 0.000], [0.000, 0.500, 0.500], [0.500, 0.000, 0.500], [0.500, 0.500, 0.000]]}

***

3.
{"formula": "BaEuO3", "functional": "PBE", "state": "relaxed", "m_tot_mub_per_fu": 5.027, "final_energy_ev_per_atom": -7.771, "sg": "No. 221", "rho_g_cm3": 6.41, "cell": [[4.437, 0.000, 0.000], [0.000, 4.437, 0.000], [0.000, 0.000, 4.437]], "species": ["Ba", "Eu", "O", "O", "O"], "frac_coords": [[0.000, 0.000, 0.000], [0.500, 0.500, 0.500], [0.000, 0.500, 0.500], [0.500, 0.000, 0.500], [0.500, 0.500, 0.000]]}

***

4.
{"formula": "CsNaB4H12O13", "functional": "PBE", "state": "relaxed", "m_tot_mub_per_fu": 0.000, "final_energy_ev_per_atom": -5.926, "sg": "No. 14", "rho_g_cm3": 2.21, "cell": [[8.251, 0.000, 0.000], [0.000, 11.545, 0.000], [-0.559, 0.000, 13.244]], "species": ["Cs", "Cs", "Cs", "Cs", "Na", "Na", "Na", "Na", "B", "B", "B", "B", "B", "B", "B", "B", "B", "B", "B", "B", "B", "B", "B", "B", "H", "H", "H", "H", "H", "H", "H", "H", "H", "H", "H", "H", "H", "H", "H", "H", "H", "H", "H", "H", "H", "H", "H", "H", "H", "H", "H", "H", "H", "H", "H", "H", "H", "H", "H", "H", "H", "H", "H", "H", "H", "H", "H", "H", "H", "H", "H", "H", "O", "O", "O", "O", "O", "O", "O", "O", "O", "O", "O", "O", "O", "O", "O", "O", "O", "O", "O", "O", "O", "O", "O", "O", "O", "O", "O", "O", "O", "O", "O", "O", "O", "O", "O", "O", "O", "O", "O", "O", "O", "O", "O", "O", "O", "O", "O", "O", "O", "O", "O", "O"], "frac_coords": [[0.042, 0.111, 0.132], [0.042, 0.389, 0.632], [0.958, 0.611, 0.368], [0.958, 0.889, 0.868], [0.138, 0.088, 0.463], [0.138, 0.412, 0.963], [0.862, 0.588, 0.037], [0.862, 0.912, 0.537], [0.356, 0.703, 0.751], [0.356, 0.797, 0.251], [0.365, 0.598, 0.590], [0.365, 0.902, 0.090], [0.387, 0.112, 0.790], [0.387, 0.388, 0.290], [0.403, 0.176, 0.297], [0.403, 0.324, 0.797], [0.597, 0.676, 0.203], [0.597, 0.824, 0.703], [0.613, 0.612, 0.710], [0.613, 0.888, 0.210], [0.635, 0.098, 0.910], [0.635, 0.402, 0.410], [0.644, 0.203, 0.749], [0.644, 0.297, 0.249], [0.070, 0.612, 0.848], [0.070, 0.888, 0.348], [0.077, 0.705, 0.621], [0.077, 0.795, 0.121], [0.105, 0.054, 0.675], [0.105, 0.446, 0.175], [0.115, 0.215, 0.863], [0.115, 0.285, 0.363], [0.283, 0.710, 0.894], [0.283, 0.790, 0.394], [0.316, 0.549, 0.254], [0.316, 0.951, 0.754], [0.326, 0.623, 0.092], [0.326, 0.877, 0.592], [0.357, 0.508, 0.461], [0.357, 0.992, 0.961], [0.393, 0.000, 0.308], [0.393, 0.229, 0.008], [0.393, 0.271, 0.508], [0.393, 0.500, 0.808], [0.398, 0.514, 0.047], [0.398, 0.986, 0.547], [0.409, 0.189, 0.605], [0.409, 0.311, 0.105], [0.591, 0.689, 0.895], [0.591, 0.811, 0.395], [0.602, 0.014, 0.453], [0.602, 0.486, 0.953], [0.607, 0.000, 0.692], [0.607, 0.500, 0.192], [0.607, 0.729, 0.492], [0.607, 0.771, 0.992], [0.643, 0.008, 0.039], [0.643, 0.492, 0.539], [0.674, 0.123, 0.408], [0.674, 0.377, 0.908], [0.684, 0.049, 0.246], [0.684, 0.451, 0.746], [0.717, 0.210, 0.606], [0.717, 0.290, 0.106], [0.885, 0.715, 0.637], [0.885, 0.785, 0.137], [0.895, 0.554, 0.825], [0.895, 0.946, 0.325], [0.923, 0.205, 0.879], [0.923, 0.295, 0.379], [0.930, 0.112, 0.652], [0.930, 0.388, 0.152], [0.014, 0.062, 0.624], [0.014, 0.438, 0.124], [0.028, 0.231, 0.911], [0.028, 0.269, 0.411], [0.234, 0.718, 0.826], [0.234, 0.782, 0.326], [0.264, 0.027, 0.763], [0.264, 0.473, 0.263], [0.273, 0.659, 0.657], [0.273, 0.841, 0.157], [0.286, 0.555, 0.505], [0.286, 0.945, 0.005], [0.307, 0.226, 0.801], [0.307, 0.274, 0.301], [0.322, 0.576, 0.030], [0.322, 0.924, 0.530], [0.328, 0.073, 0.318], [0.328, 0.427, 0.818], [0.334, 0.217, 0.549], [0.334, 0.283, 0.049], [0.434, 0.681, 0.225], [0.434, 0.819, 0.725], [0.471, 0.081, 0.891], [0.471, 0.419, 0.391], [0.486, 0.623, 0.786], [0.486, 0.877, 0.286], [0.514, 0.123, 0.714], [0.514, 0.377, 0.214], [0.529, 0.581, 0.609], [0.529, 0.919, 0.109], [0.566, 0.181, 0.275], [0.566, 0.319, 0.775], [0.666, 0.717, 0.951], [0.666, 0.783, 0.451], [0.672, 0.573, 0.182], [0.672, 0.927, 0.682], [0.678, 0.076, 0.470], [0.678, 0.424, 0.970], [0.693, 0.726, 0.699], [0.693, 0.774, 0.199], [0.714, 0.055, 0.995], [0.714, 0.445, 0.495], [0.727, 0.159, 0.843], [0.727, 0.341, 0.343], [0.736, 0.527, 0.737], [0.736, 0.973, 0.237], [0.766, 0.218, 0.674], [0.766, 0.282, 0.174], [0.972, 0.731, 0.589], [0.972, 0.769, 0.089], [0.986, 0.562, 0.876], [0.986, 0.938, 0.376]]}

***

5.
{"formula": "KSn2Au4", "functional": "PBE", "state": "relaxed", "m_tot_mub_per_fu": 0.000, "final_energy_ev_per_atom": -3.423, "sg": "No. 120", "rho_g_cm3": 10.23, "cell": [[-4.527, 4.527, 4.217], [4.527, -4.527, 4.217], [4.527, 4.527, -4.217]], "species": ["K", "K", "Sn", "Sn", "Sn", "Sn", "Au", "Au", "Au", "Au", "Au", "Au", "Au", "Au"], "frac_coords": [[0.250, 0.250, 0.000], [0.750, 0.750, 0.000], [0.142, 0.642, 0.785], [0.358, 0.142, 0.500], [0.642, 0.858, 0.500], [0.858, 0.358, 0.215], [0.019, 0.821, 0.510], [0.179, 0.688, 0.198], [0.312, 0.510, 0.490], [0.490, 0.981, 0.802], [0.519, 0.010, 0.198], [0.679, 0.481, 0.490], [0.812, 0.321, 0.802], [0.990, 0.188, 0.510]]}

***

6.
{"formula": "La2S3", "functional": "PBE", "state": "relaxed", "final_energy_ev_per_atom": -6.632, "sg": "No. 122", "rho_g_cm3": 4.94, "cell": [[-4.383, 4.383, 13.083], [4.383, -4.383, 13.083], [4.383, 4.383, -13.083]], "species": ["La", "La", "La", "La", "La", "La", "La", "La", "La", "La", "La", "La", "La", "La", "La", "La", "S", "S", "S", "S", "S", "S", "S", "S", "S", "S", "S", "S", "S", "S", "S", "S", "S", "S", "S", "S", "S", "S", "S", "S"], "frac_coords": [[0.047, 0.429, 0.899], [0.165, 0.165, 0.000], [0.179, 0.297, 0.399], [0.220, 0.821, 0.118], [0.254, 0.125, 0.629], [0.375, 0.746, 0.871], [0.496, 0.625, 0.371], [0.530, 0.148, 0.101], [0.571, 0.470, 0.618], [0.585, 0.085, 0.500], [0.703, 0.102, 0.882], [0.835, 0.835, 0.000], [0.852, 0.953, 0.382], [0.875, 0.504, 0.129], [0.898, 0.780, 0.601], [0.915, 0.415, 0.500], [0.004, 0.110, 0.248], [0.072, 0.827, 0.610], [0.173, 0.783, 0.245], [0.184, 0.597, 0.748], [0.186, 0.100, 0.752], [0.212, 0.467, 0.890], [0.217, 0.462, 0.390], [0.243, 0.996, 0.105], [0.347, 0.434, 0.248], [0.403, 0.150, 0.586], [0.507, 0.112, 0.252], [0.533, 0.423, 0.745], [0.538, 0.928, 0.755], [0.564, 0.816, 0.414], [0.566, 0.814, 0.914], [0.577, 0.322, 0.110], [0.678, 0.788, 0.255], [0.746, 0.493, 0.605], [0.850, 0.436, 0.252], [0.860, 0.254, 0.748], [0.862, 0.757, 0.752], [0.888, 0.140, 0.395], [0.890, 0.138, 0.895], [0.900, 0.653, 0.086]]}